Entry from Materials Project: a relaxed Sr2TaInO6 crystal (PBE).

Cell: 5.7928 5.7928 5.8380 Å, 59.85 59.85 60.19°
Fractional positions:
1 Sr 0.7488 0.7488 0.7419
2 Sr 0.2512 0.2512 0.2581
3 Ta 0.5000 0.5000 0.5000
4 In 0.0000 0.0000 0.0000
5 O 0.7385 0.7385 0.1814
6 O 0.2615 0.2615 0.8186
7 O 0.3032 0.7840 0.6945
8 O 0.2160 0.6968 0.3055
9 O 0.6968 0.2160 0.3055
10 O 0.7840 0.3032 0.6945

Summary:
Symmetry: C2/m, No. 12
Total DFT energy (no corrections), eV for the cell shown: -74.5
DFT formation energy, eV per atom: -3.097

=====

Entry from Materials Project: a relaxed Li3Fe2S4 crystal (PBE).

Cell: 7.2406 7.2406 6.2306 Å, 89.87 89.87 75.76°
Fractional positions:
1 Li 0.2455 0.9915 0.0357
2 Li 0.9915 0.2455 0.5357
3 Li 0.6056 0.3944 0.2500
4 Li 0.3944 0.6056 0.7500
5 Li 0.0085 0.7545 0.4643
6 Li 0.7545 0.0085 0.9643
7 Fe 0.5739 0.8338 0.4076
8 Fe 0.8338 0.5739 0.9076
9 Fe 0.1662 0.4261 0.0924
10 Fe 0.4261 0.1662 0.5924
11 S 0.5559 0.7465 0.0566
12 S 0.7465 0.5559 0.5566
13 S 0.9376 0.2659 0.0228
14 S 0.2659 0.9376 0.5228
15 S 0.7341 0.0624 0.4772
16 S 0.0624 0.7341 0.9772
17 S 0.2535 0.4441 0.4434
18 S 0.4441 0.2535 0.9434

Summary:
Symmetry: C2/c, No. 15
Total DFT energy (no corrections), eV for the cell shown: -92.0
Energy above the lowest structure with this stoichiometry, meV/atom: 6.0
DFT formation energy, eV per atom: -0.976

=====

Entry from Materials Project: a relaxed Al2O3 crystal (PBE).

Cell: 5.5978 5.5978 4.9687 Å, 90.00 90.00 120.68°
Fractional positions:
1 Al 0.0046 0.6706 0.9311
2 Al 0.6706 0.0046 0.9311
3 Al 0.3294 0.9954 0.4311
4 Al 0.9954 0.3294 0.4311
5 O 0.2284 0.2284 0.4943
6 O 0.0978 0.6604 0.5856
7 O 0.6604 0.0978 0.5856
8 O 0.3396 0.9022 0.0856
9 O 0.9022 0.3396 0.0856
10 O 0.7716 0.7716 0.9943

Summary:
Symmetry: Cmc2_1, No. 36
Total DFT energy (no corrections), eV for the cell shown: -74.4
DFT formation energy, eV per atom: -3.381
Largest piezoelectric modulus, C/m²: 0.65

=====

Entry from Materials Project: a relaxed CeGa3Ni crystal (PBE).

Cell: 4.2500 4.2500 5.8980 Å, 68.87 68.87 89.97°
Fractional positions:
1 Ce 0.0040 0.0040 0.9919
2 Ga 0.7547 0.2547 0.4907
3 Ga 0.2547 0.7547 0.4907
4 Ga 0.5919 0.5919 0.8161
5 Ni 0.3637 0.3637 0.2726

Summary:
Symmetry: I4mm, No. 107
Total DFT energy (no corrections), eV for the cell shown: -23.7
Energy above the lowest structure with this stoichiometry, meV/atom: 0.0
DFT formation energy, eV per atom: -0.590

=====

Entry from Materials Project: a relaxed Pa3Sb crystal (PBE).

Cell: 4.6021 4.6021 4.6021 Å, 90.00 90.00 90.00°
Fractional positions:
1 Pa 0.0000 0.5000 0.5000
2 Pa 0.5000 0.5000 0.0000
3 Pa 0.5000 0.0000 0.5000
4 Sb 0.0000 0.0000 0.0000

Summary:
Symmetry: Pm-3m, No. 221
Total DFT energy (no corrections), eV for the cell shown: -34.0
DFT formation energy, eV per atom: -0.390

=====

Entry from Materials Project: a relaxed NdMgPt crystal (PBE).

Cell: 4.1447 7.5769 7.5769 Å, 120.00 90.00 90.00°
Fractional positions:
1 Nd 0.0000 0.5887 0.5887
2 Nd 0.0000 0.0000 0.4113
3 Nd 0.0000 0.4113 0.0000
4 Mg 0.5000 0.7591 0.0000
5 Mg 0.5000 0.2409 0.2409
6 Mg 0.5000 0.0000 0.7591
7 Pt 0.5000 0.6667 0.3333
8 Pt 0.0000 0.0000 0.0000
9 Pt 0.5000 0.3333 0.6667

Summary:
Symmetry: P-62m, No. 189
Total DFT energy (no corrections), eV for the cell shown: -45.4
DFT formation energy, eV per atom: -0.895

=====

Entry from Materials Project: a relaxed UGe2Rh2 crystal (PBE).

Cell: 4.2045 4.2045 10.1804 Å, 90.00 90.00 90.00°
Fractional positions:
1 U 0.0000 0.5000 0.2564
2 U 0.5000 0.0000 0.7436
3 Ge 0.0000 0.0000 0.5000
4 Ge 0.5000 0.5000 0.5000
5 Ge 0.0000 0.5000 0.8685
6 Ge 0.5000 0.0000 0.1315
7 Rh 0.0000 0.0000 0.0000
8 Rh 0.5000 0.5000 0.0000
9 Rh 0.0000 0.5000 0.6307
10 Rh 0.5000 0.0000 0.3693

Summary:
Symmetry: P4/nmm, No. 129
Total DFT energy (no corrections), eV for the cell shown: -76.0
Energy above the lowest structure with this stoichiometry, meV/atom: 0.0
DFT formation energy, eV per atom: -0.542

=====

Entry from Materials Project: a relaxed Ca2AlH10BrO8 crystal (PBE).

Cell: 5.7763 5.8218 9.1147 Å, 89.83 108.21 119.67°
Fractional positions:
1 Ca 0.6179 0.3088 0.9259
2 Ca 0.3821 0.6912 0.0741
3 Al 0.0000 0.0000 0.0000
4 H 0.5165 0.7860 0.7819
5 H 0.0474 0.2661 0.7809
6 H 0.0016 0.7349 0.7819
7 H 0.4835 0.2140 0.2181
8 H 0.9526 0.7339 0.2191
9 H 0.9984 0.2651 0.2181
10 H 0.2756 0.2603 0.5757
11 H 0.5593 0.2858 0.5751
12 H 0.7244 0.7397 0.4243
13 H 0.4407 0.7142 0.4249
14 Br 0.0000 0.5000 0.5000
15 O 0.6160 0.9070 0.8826
16 O 0.1730 0.2667 0.8813
17 O 0.9780 0.7102 0.8829
18 O 0.3840 0.0930 0.1174
19 O 0.8270 0.7333 0.1187
20 O 0.0220 0.2898 0.1171
21 O 0.4249 0.2218 0.6312
22 O 0.5751 0.7782 0.3688

Summary:
Symmetry: P-1, No. 2
Total DFT energy (no corrections), eV for the cell shown: -119.0
DFT formation energy, eV per atom: -1.891

=====

Entry from Materials Project: a relaxed Dy2AgIr crystal (PBE).

Cell: 4.9745 4.9745 4.9745 Å, 60.00 60.00 60.00°
Fractional positions:
1 Dy 0.7500 0.7500 0.7500
2 Dy 0.2500 0.2500 0.2500
3 Ag 0.5000 0.5000 0.5000
4 Ir 0.0000 0.0000 0.0000

Summary:
Symmetry: Fm-3m, No. 225
Total DFT energy (no corrections), eV for the cell shown: -23.3
DFT formation energy, eV per atom: -0.614

=====

Entry from Materials Project: a relaxed U2O5 crystal (PBE).

Cell: 3.8406 3.8406 19.3942 Å, 84.87 84.87 60.81°
Fractional positions:
1 U 0.9290 0.9290 0.7385
2 U 0.1908 0.1908 0.9197
3 U 0.0710 0.0710 0.2615
4 U 0.8092 0.8092 0.0803
5 U 0.3516 0.3516 0.4281
6 U 0.6484 0.6484 0.5719
7 O 0.5288 0.5288 0.9063
8 O 0.1563 0.1563 0.0309
9 O 0.8901 0.8901 0.8389
10 O 0.8437 0.8437 0.9691
11 O 0.4712 0.4712 0.0937
12 O 0.1099 0.1099 0.1611
13 O 0.6809 0.6809 0.4459
14 O 0.7492 0.7492 0.2331
15 O 0.3916 0.3916 0.3008
16 O 0.9668 0.9668 0.6304
17 O 0.0332 0.0332 0.3696
18 O 0.0000 0.0000 0.5000
19 O 0.3191 0.3191 0.5541
20 O 0.2508 0.2508 0.7669
21 O 0.6084 0.6084 0.6992

Summary:
Symmetry: C2/m, No. 12
Total DFT energy (no corrections), eV for the cell shown: -206.0
Energy above the lowest structure with this stoichiometry, meV/atom: 161.4
DFT formation energy, eV per atom: -3.538

=====

Entry from Materials Project: a relaxed Tl2TeBr6 crystal (PBE).

Cell: 7.6260 7.6260 11.1947 Å, 90.00 90.00 90.00°
Fractional positions:
1 Tl 0.5000 0.0000 0.7500
2 Tl 0.0000 0.5000 0.7500
3 Tl 0.5000 0.0000 0.2500
4 Tl 0.0000 0.5000 0.2500
5 Te 0.5000 0.5000 0.5000
6 Te 0.0000 0.0000 0.0000
7 Br 0.1990 0.3046 0.5000
8 Br 0.8010 0.6954 0.5000
9 Br 0.8046 0.6990 0.0000
10 Br 0.3046 0.8010 0.5000
11 Br 0.6954 0.1990 0.5000
12 Br 0.3010 0.8046 0.0000
13 Br 0.0000 0.0000 0.2448
14 Br 0.5000 0.5000 0.2552
15 Br 0.0000 0.0000 0.7552
16 Br 0.5000 0.5000 0.7448
17 Br 0.1954 0.3010 0.0000
18 Br 0.6990 0.1954 0.0000

Summary:
Symmetry: P4/mnc, No. 128
Total DFT energy (no corrections), eV for the cell shown: -46.7
DFT formation energy, eV per atom: -0.983